Record 1
Entry from the Materials Project database: Na2Ca3Ta2Ti3O15 after structural relaxation (GGA-PBE).

Theoretical density = 5.127 g/cm3
ΔH_f (0 K) = -3.3532 eV/atom
Uncorrected energy = -815.23 eV/cell

Unit cell a=5.4518 b=5.5467 c=39.0570 alpha=89.96 beta=89.95 gamma=89.99
Closest atoms and distances in Å follow each position.
Space group P1 (No. 1)
Inequivalent atoms, fractional coordinates:
Na (0.0000, 0.0000, 0.0000)  4 O 2.35-2.58
Na (0.0002, 0.0001, 0.2002)  4 O 2.35-2.58
Na (0.0015, 0.0003, 0.4032)  4 O 2.36-2.58
Na (0.4930, 0.4915, 0.7993)  4 O 2.36-2.64
Na (0.4931, 0.4924, 0.9999)  4 O 2.36-2.62
Na (0.4925, 0.4925, 0.2002)  4 O 2.36-2.62
Na (0.4940, 0.4954, 0.6022)  4 O 2.38-2.60
Na (0.9995, 0.9973, 0.7993)  4 O 2.36-2.59
Ca (0.0018, 0.0160, 0.6022)  5 O 2.37-2.60
Ca (0.4941, 0.5083, 0.4034)  5 O 2.35-2.61
Ca (0.5031, 0.4332, 0.4983)  6 O 2.39-2.57
Ca (0.5026, 0.4367, 0.3002)  7 O 2.36-2.64
Ca (0.5050, 0.4311, 0.6979)  7 O 2.39-2.63
Ca (0.5047, 0.4351, 0.1001)  7 O 2.38-2.62
Ca (0.5047, 0.4346, 0.8997)  8 O 2.38-2.66
Ca (0.9850, 0.9229, 0.1001)  8 O 2.39-2.64
Ca (0.9858, 0.9215, 0.3001)  7 O 2.38-2.60
Ca (0.9860, 0.9233, 0.8998)  8 O 2.39-2.63
Ca (0.9859, 0.9266, 0.6983)  8 O 2.40-2.67
Ca (0.9873, 0.9252, 0.4984)  7 O 2.38-2.64
Ta (0.4903, 0.9641, 0.7496)  6 O 1.93-2.08
Ta (0.4911, 0.9660, 0.1516)  6 O 1.93-2.07
Ta (0.4910, 0.9657, 0.9509)  6 O 1.93-2.07
Ta (0.4911, 0.9696, 0.0495)  6 O 1.94-2.06
Ta (0.4907, 0.9701, 0.2501)  6 O 1.94-2.05
Ta (0.4923, 0.9688, 0.8488)  6 O 1.94-2.06
Ta (0.4930, 0.9721, 0.3526)  6 O 1.93-2.06
Ta (0.4961, 0.9667, 0.5509)  6 O 1.95-2.05
Ti (0.9997, 0.4630, 0.3495)  6 O 1.88-2.07
Ti (0.0015, 0.4596, 0.6488)  5 O 1.87-2.07
Ti (0.0041, 0.4595, 0.7488)  6 O 1.89-2.10
Ti (0.0042, 0.4694, 0.5503)  6 O 1.91-2.09
Ti (0.0049, 0.4603, 0.1486)  4 O 1.86-2.06
Ti (0.0051, 0.4601, 0.9483)  4 O 1.87-2.06
Ti (0.4904, 0.9622, 0.4509)  6 O 1.87-2.08
Ti (0.4935, 0.9554, 0.6498)  6 O 1.87-2.09
Ti (0.9929, 0.4641, 0.2468)  3 O 1.81-1.96
Ti (0.9935, 0.4641, 0.0464)  3 O 1.80-1.96
Ti (0.9952, 0.4632, 0.8464)  3 O 1.82-1.96
Ti (0.9964, 0.4558, 0.4490)  6 O 1.90-2.10
O (0.0701, 0.4958, 0.5014)  2 Ti 1.95-2.10
O (0.0712, 0.4954, 0.7004)  2 Ti 1.94-2.06
O (0.0724, 0.4953, 0.9017)  1 Ti 1.87
O (0.0734, 0.4952, 0.1021)  1 Ti 1.86
O (0.0735, 0.4963, 0.3028)  1 Ti 1.88
O (0.1894, 0.7794, 0.5575)  1 Ta 1.99, 1 Ti 2.01
O (0.1989, 0.7723, 0.7558)  1 Ta 1.93, 1 Ti 2.05
O (0.1991, 0.7737, 0.9564)  1 Ta 1.93, 1 Ti 2.06
O (0.2005, 0.7714, 0.8449)  1 Ta 1.94, 1 Ti 2.04
O (0.2002, 0.7727, 0.1569)  1 Ta 1.93, 1 Ti 2.06
O (0.2007, 0.7703, 0.2454)  1 Ta 1.94, 1 Ti 2.04
O (0.2007, 0.7707, 0.0451)  1 Ta 1.94, 1 Ti 2.04
O (0.2027, 0.7746, 0.6439)  2 Ti 1.89-2.07
O (0.2054, 0.7715, 0.3581)  1 Ta 1.93, 1 Ti 2.07
O (0.2183, 0.7632, 0.4444)  1 Ti 1.87
O (0.2781, 0.2641, 0.6436)  2 Ti 1.87-2.09
O (0.2847, 0.2688, 0.5575)  1 Ti 1.91, 1 Ta 2.05
O (0.2890, 0.2717, 0.2451)  1 Ti 1.94, 1 Ta 2.01
O (0.2894, 0.2729, 0.7559)  1 Ti 1.89, 1 Ta 2.05
O (0.2896, 0.2718, 0.0448)  1 Ti 1.94, 1 Ta 2.01
O (0.2899, 0.2730, 0.8447)  1 Ti 1.92, 1 Ta 2.02
O (0.2911, 0.2702, 0.4442)  2 Ti 1.92-2.04
O (0.2909, 0.2715, 0.1569)  1 Ti 1.91, 1 Ta 2.03
O (0.2912, 0.2726, 0.9565)  1 Ti 1.90, 1 Ta 2.03
O (0.3027, 0.2806, 0.3583)  1 Ti 1.97, 1 Ta 2.01
O (0.4159, 0.9980, 0.3012)  2 Ta 2.04-2.06
O (0.4168, 0.9974, 0.1007)  2 Ta 2.03-2.05
O (0.4178, 0.9968, 0.5005)  1 Ti 1.98, 1 Ta 2.02
O (0.4179, 0.9978, 0.9004)  2 Ta 2.02-2.06
O (0.4199, 0.9986, 0.6998)  1 Ta 1.99, 1 Ti 2.01
O (0.5679, 0.9610, 0.8000)  2 Ta 1.95-2.01
O (0.5701, 0.9594, 0.0006)  2 Ta 1.96-1.99
O (0.5709, 0.9571, 0.6003)  1 Ta 1.97, 1 Ti 1.98
O (0.5708, 0.9591, 0.2009)  2 Ta 1.97
O (0.5707, 0.9587, 0.4011)  1 Ta 1.94, 1 Ti 1.99
O (0.6983, 0.6850, 0.5407)  1 Ta 1.95, 1 Ti 2.09
O (0.7049, 0.6875, 0.3426)  1 Ta 1.99, 1 Ti 2.05
O (0.7060, 0.6917, 0.7406)  1 Ta 1.95, 1 Ti 2.10
O (0.7064, 0.6932, 0.1412)  1 Ta 1.96, 1 Ti 2.10
O (0.7058, 0.6927, 0.9410)  1 Ta 1.95, 1 Ti 2.10
O (0.7065, 0.6987, 0.6591)  1 Ti 1.87
O (0.7084, 0.6934, 0.4583)  2 Ti 1.93-2.08
O (0.7086, 0.6940, 0.0601)  1 Ta 1.98, 1 Ti 2.08
O (0.7087, 0.6944, 0.2606)  1 Ta 1.98, 1 Ti 2.08
O (0.7087, 0.6943, 0.8598)  1 Ta 1.97, 1 Ti 2.09
O (0.7822, 0.1938, 0.0600)  1 Ti 1.96, 1 Ta 2.06
O (0.7816, 0.1940, 0.2603)  1 Ti 1.96, 1 Ta 2.05
O (0.7831, 0.1928, 0.1415)  1 Ti 1.93, 1 Ta 2.07
O (0.7834, 0.1934, 0.6577)  2 Ti 1.93-2.08
O (0.7828, 0.1943, 0.8596)  1 Ti 1.96, 1 Ta 2.06
O (0.7830, 0.1957, 0.4597)  2 Ti 1.90-2.08
O (0.7838, 0.1928, 0.9413)  1 Ti 1.93, 1 Ta 2.07
O (0.7849, 0.1937, 0.7409)  1 Ti 1.92, 1 Ta 2.08
O (0.7874, 0.1836, 0.5425)  1 Ti 2.00, 1 Ta 2.02
O (0.7903, 0.1880, 0.3414)  1 Ti 1.93, 1 Ta 2.06
O (0.9258, 0.4588, 0.4011)  2 Ti 1.91-2.05
O (0.9300, 0.4597, 0.2015)  1 Ti 1.81
O (0.9306, 0.4588, 0.6001)  2 Ti 1.94-1.99
O (0.9308, 0.4598, 0.0012)  1 Ti 1.80
O (0.9326, 0.4602, 0.8006)  1 Ti 1.82


Record 2
Entry from the Materials Project database: NaCa4TaTi4O15 after structural relaxation (GGA-PBE).

Theoretical density = 4.545 g/cm3
ΔH_f (0 K) = -3.4520 eV/atom
Uncorrected energy = -812.00 eV/cell

Unit cell a=5.4296 b=5.5275 c=38.7431 alpha=89.94 beta=89.94 gamma=89.90
Closest atoms and distances in Å follow each position.
Space group P1 (No. 1)
Inequivalent atoms, fractional coordinates:
Na (0.0000, 0.0000, 0.0000)  4 O 2.37-2.56
Na (0.0004, 0.0005, 0.4007)  4 O 2.37-2.57
Na (0.4894, 0.4971, 0.2003)  4 O 2.34-2.55
Na (0.4902, 0.4974, 0.8001)  4 O 2.35-2.55
Ca (0.0003, 0.9844, 0.5973)  5 O 2.36-2.61
Ca (0.0003, 0.9886, 0.8003)  5 O 2.34-2.58
Ca (0.0012, 0.9880, 0.2006)  5 O 2.34-2.57
Ca (0.4849, 0.4813, 0.5974)  7 O 2.38-2.65
Ca (0.4872, 0.4820, 0.0002)  5 O 2.36-2.55
Ca (0.4885, 0.4829, 0.4011)  6 O 2.36-2.62
Ca (0.5021, 0.5745, 0.6962)  6 O 2.35-2.61
Ca (0.5038, 0.5725, 0.0962)  7 O 2.36-2.64
Ca (0.5045, 0.5744, 0.2965)  7 O 2.38-2.63
Ca (0.5044, 0.5742, 0.8960)  7 O 2.37-2.62
Ca (0.5055, 0.5691, 0.4978)  7 O 2.40-2.65
Ca (0.9857, 0.0679, 0.0961)  7 O 2.37-2.64
Ca (0.9875, 0.0665, 0.8959)  6 O 2.36-2.57
Ca (0.9867, 0.0679, 0.4974)  6 O 2.37-2.64
Ca (0.9880, 0.0670, 0.2963)  6 O 2.36-2.57
Ca (0.9877, 0.0675, 0.6963)  7 O 2.36-2.64
Ta (0.9937, 0.5326, 0.3492)  6 O 1.95-2.04
Ta (0.9945, 0.5314, 0.9485)  6 O 1.96-2.03
Ta (0.9978, 0.5272, 0.1490)  6 O 1.95-2.05
Ta (0.9993, 0.5279, 0.7483)  6 O 1.95-2.05
Ti (0.0031, 0.5362, 0.4492)  6 O 1.89-2.07
Ti (0.0037, 0.5348, 0.8473)  5 O 1.86-2.01
Ti (0.0069, 0.5330, 0.2480)  5 O 1.85-1.99
Ti (0.4856, 0.0254, 0.6476)  6 O 1.93-2.05
Ti (0.4857, 0.0362, 0.0482)  5 O 1.86-2.03
Ti (0.4888, 0.0299, 0.3491)  6 O 1.91-2.06
Ti (0.4916, 0.0282, 0.9496)  6 O 1.90-2.05
Ti (0.4946, 0.0263, 0.5475)  6 O 1.93-2.01
Ti (0.4961, 0.0343, 0.1490)  6 O 1.92-2.04
Ti (0.4958, 0.0425, 0.8487)  6 O 1.88-2.10
Ti (0.4972, 0.0332, 0.4477)  6 O 1.93-2.05
Ti (0.4972, 0.0356, 0.7491)  6 O 1.91-2.04
Ti (0.5003, 0.0420, 0.2484)  5 O 1.87-2.00
Ti (0.9851, 0.5281, 0.6467)  6 O 1.92-2.04
Ti (0.9943, 0.5417, 0.0481)  6 O 1.87-2.08
Ti (0.9967, 0.5259, 0.5478)  6 O 1.94-2.00
O (0.0690, 0.5057, 0.4987)  2 Ti 1.94-1.96
O (0.0720, 0.5044, 0.2981)  1 Ti 1.98, 1 Ta 2.03
O (0.0736, 0.5037, 0.8980)  1 Ta 2.01, 1 Ti 2.01
O (0.0747, 0.5022, 0.0983)  1 Ti 2.00, 1 Ta 2.01
O (0.0750, 0.5034, 0.6978)  1 Ta 2.00, 1 Ti 2.04
O (0.1904, 0.2196, 0.7551)  1 Ti 1.96, 1 Ta 2.01
O (0.1911, 0.2212, 0.1556)  1 Ti 1.97, 1 Ta 2.01
O (0.1972, 0.2300, 0.2416)  2 Ti 1.96-1.98
O (0.1983, 0.2294, 0.8414)  2 Ti 1.94-2.00
O (0.2021, 0.2367, 0.5565)  2 Ti 1.98-2.00
O (0.2035, 0.2321, 0.6400)  2 Ti 1.93-2.04
O (0.2055, 0.2312, 0.3555)  1 Ti 1.91, 1 Ta 2.04
O (0.2074, 0.2333, 0.9557)  1 Ti 1.93, 1 Ta 2.03
O (0.2106, 0.2394, 0.4419)  2 Ti 1.94-2.01
O (0.2155, 0.2381, 0.0410)  2 Ti 1.86-2.08
O (0.2726, 0.7372, 0.2415)  1 Ti 1.85
O (0.2734, 0.7367, 0.8414)  1 Ti 1.86
O (0.2848, 0.7329, 0.1555)  1 Ta 1.95, 1 Ti 2.04
O (0.2846, 0.7352, 0.5563)  2 Ti 1.97-2.00
O (0.2869, 0.7285, 0.4421)  2 Ti 1.89-2.05
O (0.2876, 0.7317, 0.7550)  1 Ta 1.95, 1 Ti 2.04
O (0.2890, 0.7281, 0.0415)  2 Ti 1.92-2.03
O (0.2903, 0.7324, 0.6401)  2 Ti 1.96-2.02
O (0.2995, 0.7243, 0.9554)  1 Ta 1.99, 1 Ti 1.99
O (0.3009, 0.7223, 0.3555)  1 Ta 1.99, 1 Ti 2.00
O (0.4182, 0.0045, 0.2985)  2 Ti 2.00
O (0.4179, 0.0049, 0.0981)  2 Ti 1.98-2.02
O (0.4183, 0.0050, 0.8981)  2 Ti 1.97-2.04
O (0.4181, 0.0062, 0.4989)  2 Ti 1.93-2.03
O (0.4203, 0.0052, 0.6977)  2 Ti 1.98-2.04
O (0.5623, 0.0420, 0.3980)  2 Ti 1.94-1.96
O (0.5658, 0.0414, 0.9975)  2 Ti 1.90-2.01
O (0.5669, 0.0424, 0.1976)  2 Ti 1.92-2.00
O (0.5668, 0.0425, 0.7974)  2 Ti 1.91-2.02
O (0.5705, 0.0462, 0.5983)  2 Ti 1.97-2.01
O (0.6991, 0.3140, 0.7382)  1 Ti 1.94, 1 Ta 2.05
O (0.6997, 0.3119, 0.1384)  1 Ti 1.94, 1 Ta 2.05
O (0.7018, 0.3160, 0.3401)  1 Ti 1.99, 1 Ta 2.02
O (0.7018, 0.3189, 0.5406)  2 Ti 1.99
O (0.7030, 0.3165, 0.9398)  1 Ti 2.00, 1 Ta 2.01
O (0.7046, 0.3057, 0.2573)  1 Ti 1.87
O (0.7055, 0.3090, 0.4562)  2 Ti 1.93-2.07
O (0.7064, 0.3051, 0.8570)  2 Ti 1.88-2.09
O (0.7068, 0.3178, 0.6558)  2 Ti 1.94-2.04
O (0.7116, 0.3072, 0.0558)  2 Ti 1.96-2.03
O (0.7787, 0.8098, 0.2558)  2 Ti 1.99-2.00
O (0.7802, 0.8061, 0.4576)  2 Ti 1.95-2.02
O (0.7802, 0.8082, 0.8556)  2 Ti 1.96-2.03
O (0.7841, 0.8026, 0.0574)  1 Ti 1.87
O (0.7846, 0.8151, 0.1395)  1 Ta 2.00, 1 Ti 2.01
O (0.7866, 0.8168, 0.7394)  1 Ta 2.00, 1 Ti 2.02
O (0.7874, 0.8187, 0.5406)  2 Ti 1.98-2.00
O (0.7898, 0.8164, 0.3385)  1 Ta 1.96, 1 Ti 2.06
O (0.7896, 0.8156, 0.9381)  1 Ta 1.96, 1 Ti 2.05
O (0.7905, 0.8144, 0.6559)  2 Ti 1.93-2.05
O (0.9172, 0.5446, 0.9982)  1 Ta 1.97, 1 Ti 1.98
O (0.9183, 0.5424, 0.1983)  1 Ta 1.96, 1 Ti 1.99
O (0.9177, 0.5441, 0.3985)  1 Ta 1.95, 1 Ti 2.02
O (0.9185, 0.5461, 0.5983)  2 Ti 1.92-2.00
O (0.9208, 0.5420, 0.7981)  1 Ti 1.96, 1 Ta 1.98


Among the records above, which one has the highest ΔH_f (0 K)?
Na2Ca3Ta2Ti3O15


Which of these has the lowest uncorrected energy?
Na2Ca3Ta2Ti3O15


What is the formula in the second record?
NaCa4TaTi4O15


Which of these has the lowest ΔH_f (0 K)?
NaCa4TaTi4O15